Density functional theory data (GGA+U) for KLi2FeO3 after structural relaxation.

## Properties
total energy after the MP2020 corrections = -5.58 eV per atom
energy relative to the elements = -10.85 eV/f.u.
symmetry = No. 9

Lattice parameters (Å, degrees): 5.495 5.495 6.151 90.09 90.09 73.43
Sites, in units of the cell vectors:
K (0.178, 0.822, 0.500)
K (0.822, 0.178, 0.000)
Li (0.267, 0.270, 0.745)
Li (0.270, 0.267, 0.245)
Li (0.725, 0.730, 0.749)
Li (0.730, 0.725, 0.249)
Fe (0.312, 0.683, 0.997)
Fe (0.683, 0.312, 0.497)
O (0.014, 0.333, 0.492)
O (0.333, 0.014, 0.992)
O (0.497, 0.498, 0.747)
O (0.498, 0.497, 0.247)
O (0.657, 0.980, 0.496)
O (0.980, 0.657, 0.996)

***

Density functional theory data (GGA+U) for LiFeSi3O8 after structural relaxation.

## Properties
total energy after the MP2020 corrections = -7.90 eV per atom
energy relative to the elements = -36.49 eV/f.u.
symmetry = No. 2

Lattice parameters (Å, degrees): 7.110 7.115 7.719 116.65 107.15 98.38
Sites, in units of the cell vectors:
Li (0.148, 0.016, 0.318)
Li (0.852, 0.984, 0.682)
Fe (0.433, 0.059, 0.704)
Fe (0.567, 0.941, 0.296)
Si (0.175, 0.568, 0.324)
Si (0.268, 0.480, 0.711)
Si (0.316, 0.172, 0.051)
Si (0.684, 0.828, 0.949)
Si (0.732, 0.520, 0.289)
Si (0.825, 0.432, 0.676)
O (0.070, 0.459, 0.773)
O (0.200, 0.004, 0.795)
O (0.204, 0.359, 0.139)
O (0.233, 0.550, 0.534)
O (0.307, 0.818, 0.392)
O (0.319, 0.250, 0.622)
O (0.352, 0.056, 0.192)
O (0.461, 0.688, 0.932)
O (0.539, 0.312, 0.068)
O (0.648, 0.944, 0.808)
O (0.681, 0.750, 0.378)
O (0.693, 0.182, 0.608)
O (0.767, 0.450, 0.466)
O (0.796, 0.641, 0.861)
O (0.800, 0.996, 0.205)
O (0.930, 0.541, 0.227)

***

Density functional theory data (GGA+U) for Li2MnP4O12 after structural relaxation.

## Properties
total energy after the MP2020 corrections = -7.59 eV per atom
energy relative to the elements = -50.28 eV/f.u.
symmetry = No. 62

Lattice parameters (Å, degrees): 9.573 9.391 10.345 90.00 90.00 90.00
Sites, in units of the cell vectors:
Li (0.006, 0.099, 0.182)
Li (0.006, 0.401, 0.182)
Li (0.494, 0.599, 0.682)
Li (0.494, 0.901, 0.682)
Li (0.506, 0.099, 0.318)
Li (0.506, 0.401, 0.318)
Li (0.994, 0.599, 0.818)
Li (0.994, 0.901, 0.818)
Mn (0.011, 0.250, 0.801)
Mn (0.489, 0.750, 0.301)
Mn (0.511, 0.250, 0.699)
Mn (0.989, 0.750, 0.199)
P (0.198, 0.750, 0.605)
P (0.210, 0.537, 0.389)
P (0.210, 0.963, 0.389)
P (0.228, 0.250, 0.518)
P (0.272, 0.750, 0.018)
P (0.290, 0.037, 0.889)
P (0.290, 0.463, 0.889)
P (0.302, 0.250, 0.105)
P (0.698, 0.750, 0.895)
P (0.710, 0.537, 0.111)
P (0.710, 0.963, 0.111)
P (0.728, 0.250, 0.982)
P (0.772, 0.750, 0.482)
P (0.790, 0.037, 0.611)
P (0.790, 0.463, 0.611)
P (0.802, 0.250, 0.395)
O (0.101, 0.750, 0.719)
O (0.115, 0.569, 0.277)
O (0.115, 0.750, 0.026)
O (0.115, 0.931, 0.277)
O (0.135, 0.059, 0.875)
O (0.135, 0.441, 0.875)
O (0.143, 0.250, 0.638)
O (0.147, 0.250, 0.127)
O (0.153, 0.616, 0.517)
O (0.153, 0.884, 0.517)
O (0.176, 0.124, 0.424)
O (0.176, 0.376, 0.424)
O (0.324, 0.624, 0.924)
O (0.324, 0.876, 0.924)
O (0.347, 0.116, 0.017)
O (0.347, 0.384, 0.017)
O (0.353, 0.750, 0.627)
O (0.357, 0.750, 0.138)
O (0.365, 0.559, 0.375)
O (0.365, 0.941, 0.375)
O (0.385, 0.069, 0.777)
O (0.385, 0.250, 0.526)
O (0.385, 0.431, 0.777)
O (0.399, 0.250, 0.219)
O (0.601, 0.750, 0.781)
O (0.615, 0.569, 0.223)
O (0.615, 0.750, 0.474)
O (0.615, 0.931, 0.223)
O (0.635, 0.059, 0.625)
O (0.635, 0.441, 0.625)
O (0.643, 0.250, 0.862)
O (0.647, 0.250, 0.373)
O (0.653, 0.616, 0.983)
O (0.653, 0.884, 0.983)
O (0.676, 0.124, 0.076)
O (0.676, 0.376, 0.076)
O (0.824, 0.624, 0.576)
O (0.824, 0.876, 0.576)
O (0.847, 0.116, 0.483)
O (0.847, 0.384, 0.483)
O (0.853, 0.750, 0.873)
O (0.857, 0.750, 0.362)
O (0.865, 0.559, 0.125)
O (0.865, 0.941, 0.125)
O (0.885, 0.069, 0.723)
O (0.885, 0.250, 0.974)
O (0.885, 0.431, 0.723)
O (0.899, 0.250, 0.281)

***

Density functional theory data (GGA+U) for UCr2O6 after structural relaxation.

## Properties
total energy after the MP2020 corrections = -9.60 eV per atom
energy relative to the elements = -26.10 eV/f.u.
symmetry = No. 162

Lattice parameters (Å, degrees): 5.102 5.102 4.633 90.00 90.00 120.00
Sites, in units of the cell vectors:
U (0.000, 0.000, 0.000)
Cr (0.333, 0.667, 0.500)
Cr (0.667, 0.333, 0.500)
O (0.000, 0.338, 0.264)
O (0.000, 0.662, 0.736)
O (0.338, 0.000, 0.264)
O (0.338, 0.338, 0.736)
O (0.662, 0.000, 0.736)
O (0.662, 0.662, 0.264)

***

Density functional theory data (GGA+U) for Fe2P3O12 after structural relaxation.

## Properties
total energy after the MP2020 corrections = -7.46 eV per atom
energy relative to the elements = -34.18 eV/f.u.
symmetry = No. 2

Lattice parameters (Å, degrees): 8.106 8.108 8.562 90.00 61.91 60.05
Sites, in units of the cell vectors:
Fe (0.203, 0.147, 0.444)
Fe (0.218, 0.640, 0.923)
Fe (0.782, 0.360, 0.077)
Fe (0.797, 0.853, 0.556)
P (0.001, 0.532, 0.749)
P (0.282, 0.966, 0.748)
P (0.283, 0.748, 0.253)
P (0.717, 0.252, 0.747)
P (0.718, 0.034, 0.252)
P (0.999, 0.468, 0.251)
O (0.072, 0.125, 0.935)
O (0.111, 0.718, 0.414)
O (0.130, 0.616, 0.762)
O (0.134, 0.488, 0.060)
O (0.175, 0.318, 0.293)
O (0.189, 0.325, 0.596)
O (0.222, 0.964, 0.288)
O (0.231, 0.979, 0.592)
O (0.311, 0.691, 0.067)
O (0.351, 0.756, 0.766)
O (0.475, 0.991, 0.703)
O (0.492, 0.394, 0.761)
O (0.508, 0.606, 0.239)
O (0.525, 0.009, 0.297)
O (0.649, 0.244, 0.234)
O (0.689, 0.309, 0.933)
O (0.769, 0.021, 0.408)
O (0.778, 0.036, 0.712)
O (0.811, 0.675, 0.404)
O (0.825, 0.682, 0.707)
O (0.866, 0.512, 0.940)
O (0.870, 0.384, 0.238)
O (0.889, 0.282, 0.586)
O (0.928, 0.875, 0.065)

***

Density functional theory data (GGA+U) for CrMoF6 after structural relaxation.

## Properties
total energy after the MP2020 corrections = -6.91 eV per atom
energy relative to the elements = -23.26 eV/f.u.
symmetry = No. 148

Lattice parameters (Å, degrees): 5.582 5.582 5.582 56.06 56.06 56.06
Sites, in units of the cell vectors:
Cr (0.000, 0.000, 0.000)
Mo (0.500, 0.500, 0.500)
F (0.112, 0.366, 0.762)
F (0.238, 0.888, 0.634)
F (0.366, 0.762, 0.112)
F (0.634, 0.238, 0.888)
F (0.762, 0.112, 0.366)
F (0.888, 0.634, 0.238)

***

Density functional theory data (GGA+U) for MnH7C3NO6 after structural relaxation.

## Properties
total energy after the MP2020 corrections = -6.62 eV per atom
energy relative to the elements = -20.46 eV/f.u.
symmetry = No. 5

Lattice parameters (Å, degrees): 7.520 7.520 8.581 91.35 91.35 59.05
Sites, in units of the cell vectors:
Mn (0.166, 0.166, 0.250)
Mn (0.834, 0.834, 0.750)
H (0.080, 0.920, 0.000)
H (0.083, 0.496, 0.499)
H (0.349, 0.585, 0.722)
H (0.415, 0.651, 0.278)
H (0.417, 0.432, 0.222)
H (0.503, 0.078, 0.001)
H (0.504, 0.917, 0.501)
H (0.529, 0.396, 0.842)
H (0.568, 0.583, 0.778)
H (0.578, 0.392, 0.657)
H (0.604, 0.471, 0.158)
H (0.608, 0.422, 0.343)
H (0.922, 0.497, 0.999)
H (0.923, 0.077, 0.500)
C (0.068, 0.500, 0.002)
C (0.072, 0.928, 0.500)
C (0.500, 0.932, 0.998)
C (0.501, 0.067, 0.501)
C (0.930, 0.070, 0.000)
C (0.933, 0.499, 0.499)
N (0.505, 0.491, 0.750)
N (0.509, 0.495, 0.250)
O (0.088, 0.609, 0.902)
O (0.099, 0.798, 0.604)
O (0.202, 0.394, 0.108)
O (0.202, 0.901, 0.396)
O (0.389, 0.198, 0.399)
O (0.391, 0.912, 0.098)
O (0.606, 0.798, 0.892)
O (0.610, 0.094, 0.604)
O (0.795, 0.096, 0.897)
O (0.802, 0.611, 0.601)
O (0.904, 0.205, 0.103)
O (0.906, 0.390, 0.396)

***

Density functional theory data (GGA+U) for Li3Mn2O5 after structural relaxation.

## Properties
total energy after the MP2020 corrections = -7.03 eV per atom
energy relative to the elements = -21.49 eV/f.u.
symmetry = No. 2

Lattice parameters (Å, degrees): 5.084 5.232 7.632 110.02 102.81 97.63
Sites, in units of the cell vectors:
Li (0.000, 0.000, 0.000)
Li (0.000, 0.405, 0.795)
Li (0.000, 0.595, 0.205)
Li (0.015, 0.202, 0.405)
Li (0.500, 0.000, 0.500)
Li (0.985, 0.798, 0.595)
Mn (0.499, 0.199, 0.897)
Mn (0.500, 0.400, 0.302)
Mn (0.500, 0.600, 0.698)
Mn (0.501, 0.801, 0.103)
O (0.266, 0.386, 0.058)
O (0.269, 0.781, 0.849)
O (0.272, 0.581, 0.454)
O (0.281, 0.235, 0.667)
O (0.284, 0.026, 0.247)
O (0.716, 0.974, 0.753)
O (0.719, 0.765, 0.333)
O (0.728, 0.419, 0.546)
O (0.731, 0.219, 0.151)
O (0.734, 0.614, 0.942)

***

Density functional theory data (GGA+U) for Li4Cr3FeO8 after structural relaxation.

## Properties
total energy after the MP2020 corrections = -7.58 eV per atom
energy relative to the elements = -36.69 eV/f.u.
symmetry = No. 10

Lattice parameters (Å, degrees): 5.113 5.940 5.166 90.00 109.38 90.00
Sites, in units of the cell vectors:
Li (0.000, 0.000, 0.000)
Li (0.000, 0.500, 0.000)
Li (0.500, 0.249, 0.000)
Li (0.500, 0.751, 0.000)
Cr (0.000, 0.250, 0.500)
Cr (0.000, 0.750, 0.500)
Cr (0.500, 0.500, 0.500)
Fe (0.500, 0.000, 0.500)
O (0.239, 0.000, 0.728)
O (0.241, 0.500, 0.726)
O (0.257, 0.252, 0.272)
O (0.257, 0.748, 0.272)
O (0.743, 0.252, 0.728)
O (0.743, 0.748, 0.728)
O (0.759, 0.500, 0.274)
O (0.761, 0.000, 0.272)

***

Density functional theory data (GGA+U) for MgMnVP2O8F2 after structural relaxation.

## Properties
total energy after the MP2020 corrections = -7.69 eV per atom
energy relative to the elements = -41.20 eV/f.u.
symmetry = No. 1

Lattice parameters (Å, degrees): 5.256 5.363 7.442 109.80 104.65 96.96
Sites, in units of the cell vectors:
Mg (0.000, 0.000, 0.000)
Mn (0.604, 0.943, 0.351)
V (0.087, 0.435, 0.828)
P (0.531, 0.569, 0.601)
P (0.640, 0.320, 0.083)
O (0.329, 0.232, 0.982)
O (0.368, 0.586, 0.748)
O (0.454, 0.774, 0.504)
O (0.469, 0.279, 0.441)
O (0.731, 0.617, 0.229)
O (0.742, 0.110, 0.175)
O (0.797, 0.275, 0.925)
O (0.836, 0.666, 0.736)
F (0.206, 0.766, 0.091)
F (0.966, 0.116, 0.587)

***

- Among the records above, which one has the highest energy relative to the elements?
  KLi2FeO3